1.
The following is a DFT calculation (GGA-PBE) of a relaxed BeO2 crystal.

Lattice parameters (Å, degrees): 3.7138 4.8206 6.3055 90.00 90.00 90.00
Positions (direct):
Be 0.1530 0.1760 0.3524
Be 0.3470 0.8240 0.8524
Be 0.6530 0.3240 0.6476
Be 0.8470 0.6760 0.1476
O 0.0213 0.1564 0.6009
O 0.1766 0.8652 0.2518
O 0.3234 0.1348 0.7518
O 0.4787 0.8436 0.1009
O 0.5213 0.3436 0.3991
O 0.6766 0.6348 0.7482
O 0.8234 0.3652 0.2482
O 0.9787 0.6564 0.8991

Results
The total energy after the MP2020 corrections is -0.4502 Ry per atom. For the volume, the calculation gives 9.4 A^3/atom. The formation enthalpy at 0 K is -4.7 eV per formula unit.



2.
The following is a DFT calculation (GGA-PBE) of a relaxed TmTaO4 crystal.

Lattice parameters (Å, degrees): 7.5647 5.3016 7.5492 90.00 98.37 90.00
Positions (direct):
Tm 0.1450 0.2213 0.3864
Tm 0.1450 0.2787 0.8864
Tm 0.8550 0.7213 0.1136
Tm 0.8550 0.7787 0.6136
Ta 0.3342 0.7320 0.1891
Ta 0.3342 0.7680 0.6891
Ta 0.6658 0.2320 0.3109
Ta 0.6658 0.2680 0.8109
O 0.1073 0.5157 0.1750
O 0.1073 0.9843 0.6750
O 0.1760 0.0101 0.1160
O 0.1760 0.4899 0.6160
O 0.3258 0.6211 0.9370
O 0.3258 0.8789 0.4370
O 0.4332 0.0999 0.8103
O 0.4332 0.4001 0.3103
O 0.5668 0.5999 0.6897
O 0.5668 0.9001 0.1897
O 0.6742 0.1211 0.5630
O 0.6742 0.3789 0.0630
O 0.8240 0.5101 0.3840
O 0.8240 0.9899 0.8840
O 0.8927 0.0157 0.3250
O 0.8927 0.4843 0.8250

Results
The total energy after the MP2020 corrections is -0.7170 Ry per atom. For the volume, the calculation gives 12.5 A^3/atom. The formation enthalpy at 0 K is -22.4 eV per formula unit.



3.
The following is a DFT calculation (GGA-PBE) of a relaxed Li5Ti12O24 crystal.

Lattice parameters (Å, degrees): 5.0880 8.8873 9.7378 90.00 90.10 90.00
Positions (direct):
Li 0.0000 0.0000 0.0000
Li 0.0052 0.3336 0.9993
Li 0.0052 0.6664 0.9993
Li 0.3710 0.0000 0.5032
Li 0.5106 0.5000 0.4336
Ti 0.4150 0.0000 0.8231
Ti 0.4268 0.3354 0.8238
Ti 0.4268 0.6646 0.8238
Ti 0.4600 0.1643 0.1080
Ti 0.4600 0.8357 0.1080
Ti 0.4699 0.5000 0.1092
Ti 0.9108 0.1732 0.6056
Ti 0.9108 0.8268 0.6056
Ti 0.9359 0.5000 0.6107
Ti 0.9414 0.0000 0.3256
Ti 0.9702 0.3264 0.3312
Ti 0.9702 0.6736 0.3312
O 0.1342 0.3288 0.6921
O 0.1342 0.6712 0.6921
O 0.1403 0.1628 0.4309
O 0.1403 0.8372 0.4309
O 0.1432 0.5000 0.4296
O 0.1439 0.0000 0.6802
O 0.2245 0.0000 0.1812
O 0.2290 0.3363 0.1797
O 0.2290 0.6637 0.1797
O 0.2297 0.1661 0.9322
O 0.2297 0.8339 0.9322
O 0.2327 0.5000 0.9311
O 0.6323 0.1634 0.7428
O 0.6323 0.8366 0.7428
O 0.6337 0.0000 0.0005
O 0.6364 0.5000 0.7404
O 0.6367 0.3337 0.0003
O 0.6367 0.6663 0.0003
O 0.7307 0.5000 0.2531
O 0.7387 0.0000 0.5015
O 0.7434 0.1727 0.2410
O 0.7435 0.3367 0.5014
O 0.7435 0.6633 0.5014
O 0.7434 0.8273 0.2410

Results
The total energy after the MP2020 corrections is -0.6386 Ry per atom. For the volume, the calculation gives 10.7 A^3/atom. The formation enthalpy at 0 K is -133.2 eV per formula unit.



4.
The following is a DFT calculation (GGA-PBE) of a relaxed Te4MoW3Se2S2 crystal.

Lattice parameters (Å, degrees): 3.3945 3.3945 38.8521 90.00 90.00 120.00
Positions (direct):
Te 0.0000 0.0000 0.0000
Te 0.0000 0.0000 0.0964
Te 0.6667 0.3333 0.8117
Te 0.6667 0.3333 0.9087
Mo 0.6667 0.3333 0.0482
W 0.0000 0.0000 0.2360
W 0.0000 0.0000 0.8602
W 0.6667 0.3333 0.6724
Se 0.6667 0.3333 0.1934
Se 0.6667 0.3333 0.2787
S 0.0000 0.0000 0.6336
S 0.0000 0.0000 0.7112

Results
The total energy after the MP2020 corrections is -0.5086 Ry per atom. For the volume, the calculation gives 32.3 A^3/atom. The formation enthalpy at 0 K is -5.5 eV per formula unit.



5.
The following is a DFT calculation (GGA-PBE) of a relaxed ReMo3 crystal.

Lattice parameters (Å, degrees): 2.7302 2.7302 8.9540 90.00 90.00 109.80
Positions (direct):
Re 0.0000 0.0000 0.0000
Mo 0.0000 0.0000 0.5000
Mo 0.5000 0.5000 0.2497
Mo 0.5000 0.5000 0.7503

Results
For the volume, the calculation gives 15.7 A^3/atom. The formation enthalpy at 0 K is 0.2 eV per formula unit.



6.
The following is a DFT calculation (GGA-PBE) of a relaxed Na8Si7O18 crystal.

Lattice parameters (Å, degrees): 6.2781 9.0687 10.9707 103.33 101.12 104.51
Positions (direct):
Na 0.0000 0.0000 0.0000
Na 0.0043 0.2014 0.2387
Na 0.3417 0.4571 0.0637
Na 0.3689 0.7634 0.9782
Na 0.3819 0.3251 0.5060
Na 0.6934 0.5944 0.7783
Na 0.8262 0.3746 0.9946
Na 0.8876 0.4391 0.4807
Si 0.2071 0.8221 0.2668
Si 0.2120 0.4302 0.7797
Si 0.3626 0.5806 0.3708
Si 0.3936 0.9095 0.5263
Si 0.5181 0.2551 0.2006
Si 0.5421 0.9788 0.7729
Si 0.7707 0.2239 0.6692
O 0.0415 0.2420 0.6903
O 0.1108 0.5126 0.8940
O 0.1292 0.8534 0.1335
O 0.1768 0.4338 0.3789
O 0.2574 0.2252 0.1171
O 0.2711 0.6530 0.2474
O 0.3012 0.5260 0.6852
O 0.4265 0.3694 0.8591
O 0.4424 0.7379 0.5015
O 0.5463 0.2212 0.3397
O 0.5929 0.5200 0.9482
O 0.6214 0.0570 0.5468
O 0.6251 0.5691 0.3674
O 0.6260 0.8854 0.8672
O 0.6385 0.4715 0.2393
O 0.6820 0.2025 0.1126
O 0.7089 0.3745 0.6446
O 0.7105 0.1596 0.7970

Results
The total energy after the MP2020 corrections is -0.4461 Ry per atom. For the volume, the calculation gives 17.2 A^3/atom. The formation enthalpy at 0 K is -62.7 eV per formula unit.



Q: Which value of formation enthalpy at 0 K does entry 5 give?
A: 0.2 eV per formula unit



Copy entry 6 word for word.
The following is a DFT calculation (GGA-PBE) of a relaxed Na8Si7O18 crystal.

Lattice parameters (Å, degrees): 6.2781 9.0687 10.9707 103.33 101.12 104.51
Positions (direct):
Na 0.0000 0.0000 0.0000
Na 0.0043 0.2014 0.2387
Na 0.3417 0.4571 0.0637
Na 0.3689 0.7634 0.9782
Na 0.3819 0.3251 0.5060
Na 0.6934 0.5944 0.7783
Na 0.8262 0.3746 0.9946
Na 0.8876 0.4391 0.4807
Si 0.2071 0.8221 0.2668
Si 0.2120 0.4302 0.7797
Si 0.3626 0.5806 0.3708
Si 0.3936 0.9095 0.5263
Si 0.5181 0.2551 0.2006
Si 0.5421 0.9788 0.7729
Si 0.7707 0.2239 0.6692
O 0.0415 0.2420 0.6903
O 0.1108 0.5126 0.8940
O 0.1292 0.8534 0.1335
O 0.1768 0.4338 0.3789
O 0.2574 0.2252 0.1171
O 0.2711 0.6530 0.2474
O 0.3012 0.5260 0.6852
O 0.4265 0.3694 0.8591
O 0.4424 0.7379 0.5015
O 0.5463 0.2212 0.3397
O 0.5929 0.5200 0.9482
O 0.6214 0.0570 0.5468
O 0.6251 0.5691 0.3674
O 0.6260 0.8854 0.8672
O 0.6385 0.4715 0.2393
O 0.6820 0.2025 0.1126
O 0.7089 0.3745 0.6446
O 0.7105 0.1596 0.7970

Results
The total energy after the MP2020 corrections is -0.4461 Ry per atom. For the volume, the calculation gives 17.2 A^3/atom. The formation enthalpy at 0 K is -62.7 eV per formula unit.



Q: The lowest formation enthalpy at 0 K belongs to which entry?
A: Li5Ti12O24